Entry 1:
A plane-wave DFT calculation with PBE was carried out for a relaxed AlC2Br5N2O6 crystal.

Cell: 5.1285 5.1286 10.5540 Å, 75.94 75.94 90.00°
Closest atoms and distances in Å follow each position.
Fractional coordinates of all 16 atoms:
Al 0.0000 0.0000 0.0000  6 O 1.87-2.06
C 0.2590 0.2590 0.4820  1 N 1.20
C 0.7410 0.7410 0.5180  1 N 1.20
Br 0.6313 0.1313 0.7375  2 O 2.62, 2 N 2.74
Br 0.1313 0.6313 0.7375  2 O 2.62, 2 N 2.74
Br 0.3687 0.8687 0.2625  2 O 2.62, 2 N 2.74
Br 0.8687 0.3687 0.2625  2 O 2.62, 2 N 2.74
Br 0.5000 0.5000 0.0000  4 O 1.86
N 0.3195 0.3195 0.3610  1 C 1.20
N 0.6805 0.6805 0.6390  1 C 1.20
O 0.1038 0.1038 0.7923  1 Al 2.06
O 0.8962 0.8962 0.2077  1 Al 2.06
O 0.1921 0.3100 0.0000  1 Br 1.86, 1 Al 1.87
O 0.8079 0.6900 0.0000  1 Br 1.86, 1 Al 1.87
O 0.6900 0.1921 0.0000  1 Br 1.86, 1 Al 1.87
O 0.3100 0.8079 0.0000  1 Br 1.86, 1 Al 1.87

SG: No. 87

---

Entry 2:
A plane-wave DFT calculation with PBE was carried out for a relaxed AlC8BrO5 crystal.

Cell: 16.3250 16.3250 16.3250 Å, 95.51 95.51 143.89°
Closest atoms and distances in Å follow each position.
Fractional coordinates of all 120 atoms:
Al 0.6250 0.1909 0.0659  6 O 1.81-1.97
Al 0.6250 0.5591 0.4341  6 O 1.81-1.97
Al 0.4409 0.3750 0.5659  6 O 1.81-1.97
Al 0.4409 0.8750 0.0659  6 O 1.81-1.97
Al 0.1250 0.1909 0.5659  6 O 1.81-1.97
Al 0.1250 0.5591 0.9341  6 O 1.81-1.97
Al 0.8091 0.3750 0.9341  6 O 1.81-1.97
Al 0.8091 0.8750 0.4341  6 O 1.81-1.97
C 0.4410 0.0285 0.1774  2 O 1.27
C 0.4410 0.2636 0.4125  2 O 1.27
C 0.2785 0.1910 0.6774  2 O 1.27
C 0.2785 0.6011 0.0875  2 O 1.27
C 0.8511 0.0285 0.5875  2 O 1.27
C 0.8511 0.2636 0.8226  2 O 1.27
C 0.5136 0.1910 0.9125  2 O 1.27
C 0.5136 0.6011 0.3226  2 O 1.27
C 0.8090 0.7215 0.3226  2 O 1.27
C 0.8090 0.4864 0.0875  2 O 1.27
C 0.9715 0.5590 0.8226  2 O 1.27
C 0.9715 0.1489 0.4125  2 O 1.27
C 0.3989 0.7215 0.9125  2 O 1.27
C 0.3989 0.4864 0.6774  2 O 1.27
C 0.7364 0.5590 0.5875  2 O 1.27
C 0.7364 0.1489 0.1774  2 O 1.27
C 0.3887 0.0278 0.2484  3 C 1.37-1.50
C 0.3887 0.1403 0.3610  3 C 1.37-1.50
C 0.2778 0.1387 0.7484  3 C 1.37-1.50
C 0.2778 0.5293 0.1390  3 C 1.37-1.50
C 0.7793 0.0278 0.6390  3 C 1.37-1.50
C 0.7793 0.1403 0.7516  3 C 1.37-1.50
C 0.3903 0.1387 0.8610  3 C 1.37-1.50
C 0.3903 0.5293 0.2516  3 C 1.37-1.50
C 0.8613 0.7222 0.2516  3 C 1.37-1.50
C 0.8613 0.6097 0.1390  3 C 1.37-1.50
C 0.9722 0.6113 0.7516  3 C 1.37-1.50
C 0.9722 0.2207 0.3610  3 C 1.37-1.50
C 0.4707 0.7222 0.8610  3 C 1.37-1.50
C 0.4707 0.6097 0.7484  3 C 1.37-1.50
C 0.8597 0.6113 0.6390  3 C 1.37-1.50
C 0.8597 0.2207 0.2484  3 C 1.37-1.50
C 0.4352 0.1426 0.2926  2 C 1.40
C 0.3926 0.1852 0.7926  2 C 1.40
C 0.3926 0.6001 0.2074  2 C 1.40
C 0.8501 0.1426 0.7074  2 C 1.40
C 0.8148 0.6074 0.2074  2 C 1.40
C 0.8574 0.5648 0.7074  2 C 1.40
C 0.8574 0.1499 0.2926  2 C 1.40
C 0.3999 0.6074 0.7926  2 C 1.40
C 0.2904 0.9195 0.2855  2 C 1.35-1.37
C 0.2904 0.0049 0.3710  2 C 1.35-1.37
C 0.1695 0.0404 0.7855  2 C 1.35-1.37
C 0.1695 0.3839 0.1290  2 C 1.35-1.37
C 0.6339 0.9195 0.6290  2 C 1.35-1.37
C 0.6339 0.0049 0.7145  2 C 1.35-1.37
C 0.2549 0.0404 0.8710  2 C 1.35-1.37
C 0.2549 0.3839 0.2145  2 C 1.35-1.37
C 0.9596 0.8305 0.2145  2 C 1.35-1.37
C 0.9596 0.7451 0.1290  2 C 1.35-1.37
C 0.0805 0.7096 0.7145  2 C 1.35-1.37
C 0.0805 0.3661 0.3710  2 C 1.35-1.37
C 0.6161 0.8305 0.8710  2 C 1.35-1.37
C 0.6161 0.7451 0.7855  2 C 1.35-1.37
C 0.9951 0.7096 0.6290  2 C 1.35-1.37
C 0.9951 0.3661 0.2855  2 C 1.35-1.37
C 0.2165 0.8725 0.3440  2 C 1.35
C 0.1225 0.9665 0.8440  2 C 1.35
C 0.1225 0.2785 0.1560  2 C 1.35
C 0.5285 0.8725 0.6560  2 C 1.35
C 0.0335 0.8775 0.1560  2 C 1.35
C 0.1275 0.7835 0.6560  2 C 1.35
C 0.1275 0.4715 0.3440  2 C 1.35
C 0.7215 0.8775 0.8440  2 C 1.35
Br 0.0672 0.6959 0.3713  1 C 1.88
Br 0.9459 0.8172 0.8713  1 C 1.88
Br 0.9459 0.0746 0.1287  1 C 1.88
Br 0.3246 0.6959 0.6287  1 C 1.88
Br 0.1828 0.0541 0.1287  1 C 1.88
Br 0.3041 0.9328 0.6287  1 C 1.88
Br 0.3041 0.6754 0.3713  1 C 1.88
Br 0.9254 0.0541 0.8713  1 C 1.88
O 0.5073 0.0073 0.0147  2 Al 1.81
O 0.5073 0.4927 0.5000  2 Al 1.81
O 0.2573 0.2573 0.5147  2 Al 1.81
O 0.2573 0.7427 0.0000  2 Al 1.81
O 0.9927 0.0073 0.5000  2 Al 1.81
O 0.9927 0.4927 0.9853  2 Al 1.81
O 0.7427 0.2573 0.0000  2 Al 1.81
O 0.7427 0.7427 0.4853  2 Al 1.81
O 0.5079 0.1295 0.1431  1 C 1.27
O 0.5079 0.3648 0.3784  1 C 1.27
O 0.3795 0.2579 0.6431  1 C 1.27
O 0.3795 0.7364 0.1216  1 C 1.27
O 0.9864 0.1295 0.6216  1 C 1.27
O 0.9864 0.3648 0.8569  1 C 1.27
O 0.6148 0.2579 0.8784  1 C 1.27
O 0.6148 0.7364 0.3569  1 C 1.27
O 0.7421 0.6205 0.3569  1 C 1.27
O 0.7421 0.3852 0.1216  1 C 1.27
O 0.8705 0.4921 0.8569  1 C 1.27
O 0.8705 0.0136 0.3784  1 C 1.27
O 0.2636 0.6205 0.8784  1 C 1.27
O 0.2636 0.3852 0.6431  1 C 1.27
O 0.6352 0.4921 0.6216  1 C 1.27
O 0.6352 0.0136 0.1431  1 C 1.27
O 0.4161 0.9315 0.1614  1 C 1.27
O 0.4161 0.2547 0.4846  1 C 1.27
O 0.1815 0.1661 0.6614  1 C 1.27
O 0.1815 0.5201 0.0154  1 C 1.27
O 0.7701 0.9315 0.5154  1 C 1.27
O 0.7701 0.2547 0.8386  1 C 1.27
O 0.5047 0.1661 0.9846  1 C 1.27
O 0.5047 0.5201 0.3386  1 C 1.27
O 0.8339 0.8185 0.3386  1 C 1.27
O 0.8339 0.4953 0.0154  1 C 1.27
O 0.0685 0.5839 0.8386  1 C 1.27
O 0.0685 0.2299 0.4846  1 C 1.27
O 0.4799 0.8185 0.9846  1 C 1.27
O 0.4799 0.4953 0.6614  1 C 1.27
O 0.7453 0.5839 0.5154  1 C 1.27
O 0.7453 0.2299 0.1614  1 C 1.27

SG: No. 141

---

Entry 3:
A plane-wave DFT calculation with PBE was carried out for a relaxed Al2CdBr8 crystal.

Cell: 7.4276 7.6277 14.0634 Å, 87.26 90.00 90.00°
Closest atoms and distances in Å follow each position.
Fractional coordinates of all 22 atoms:
Al 0.9317 0.2209 0.5792  4 Br 2.27-2.37
Al 0.0683 0.2209 0.0792  4 Br 2.27-2.37
Al 0.5713 0.6397 0.7764  4 Br 2.26-2.38
Al 0.4287 0.6397 0.2764  4 Br 2.26-2.38
Cd 0.7538 0.0767 0.8143  6 Br 2.80-2.89
Cd 0.2462 0.0767 0.3143  6 Br 2.80-2.89
Br 0.4179 0.6142 0.6393  1 Al 2.26
Br 0.5821 0.6142 0.1393  1 Al 2.26
Br 0.8730 0.7362 0.7612  1 Al 2.37
Br 0.1270 0.7362 0.2612  1 Al 2.37
Br 0.9398 0.4811 0.4942  1 Al 2.27
Br 0.0602 0.4811 0.9942  1 Al 2.27
Br 0.9148 0.0016 0.9971  1 Al 2.37
Br 0.0852 0.0016 0.4971  1 Al 2.37
Br 0.6370 0.1271 0.6192  1 Al 2.36
Br 0.3630 0.1271 0.1192  1 Al 2.36
Br 0.5635 0.3747 0.8725  1 Al 2.38
Br 0.4365 0.3747 0.3725  1 Al 2.38
Br 0.4469 0.8668 0.8660  1 Al 2.38
Br 0.5531 0.8668 0.3660  1 Al 2.38
Br 0.9361 0.2283 0.2327  1 Al 2.37
Br 0.0639 0.2283 0.7327  1 Al 2.37

SG: No. 7

---

Entry 4:
A plane-wave DFT calculation with PBE was carried out for a relaxed CeAl3Br12 crystal.

Cell: 10.7483 10.7483 19.2580 Å, 90.00 90.00 120.00°
Closest atoms and distances in Å follow each position.
Fractional coordinates of all 48 atoms:
Ce 0.2734 0.2734 0.1667  8 Br 2.99-3.20
Ce 0.0000 0.7266 0.8333  8 Br 2.99-3.20
Ce 0.7266 0.0000 0.5000  8 Br 2.99-3.20
Al 0.6962 0.3268 0.7797  4 Br 2.27-2.41
Al 0.6306 0.3038 0.4463  4 Br 2.27-2.41
Al 0.3694 0.6732 0.2203  4 Br 2.27-2.41
Al 0.6732 0.3694 0.1130  4 Br 2.27-2.41
Al 0.3268 0.6962 0.5537  4 Br 2.27-2.41
Al 0.3038 0.6306 0.8870  4 Br 2.27-2.41
Al 0.9001 0.9001 0.6667  4 Br 2.33-2.34
Al 0.0000 0.0999 0.3333  4 Br 2.33-2.34
Al 0.0999 0.0000 0.0000  4 Br 2.33-2.34
Br 0.9229 0.1202 0.6353  1 Al 2.33
Br 0.1973 0.0771 0.3020  1 Al 2.33
Br 0.8027 0.8798 0.3647  1 Al 2.33
Br 0.8798 0.8027 0.9686  1 Al 2.33
Br 0.1202 0.9229 0.6980  1 Al 2.33
Br 0.0771 0.1973 0.0314  1 Al 2.33
Br 0.9152 0.5016 0.7234  1 Al 2.41
Br 0.5864 0.0848 0.3900  1 Al 2.41
Br 0.4136 0.4984 0.2766  1 Al 2.41
Br 0.4984 0.4136 0.0567  1 Al 2.41
Br 0.5016 0.9152 0.6100  1 Al 2.41
Br 0.0848 0.5864 0.9433  1 Al 2.41
Br 0.4958 0.7715 0.9552  1 Al 2.27
Br 0.2757 0.5042 0.6219  1 Al 2.27
Br 0.7243 0.2285 0.0448  1 Al 2.27
Br 0.2285 0.7243 0.2886  1 Al 2.27
Br 0.7715 0.4958 0.3781  1 Al 2.27
Br 0.5042 0.2757 0.7114  1 Al 2.27
Br 0.7639 0.2886 0.5426  1 Al 2.40
Br 0.5247 0.2361 0.2093  1 Al 2.40
Br 0.4753 0.7114 0.4574  1 Al 2.40
Br 0.7114 0.4753 0.8759  1 Al 2.40
Br 0.2886 0.7639 0.7907  1 Al 2.40
Br 0.2361 0.5247 0.1241  1 Al 2.40
Br 0.7675 0.7946 0.7676  1 Al 2.34
Br 0.0272 0.2325 0.4343  1 Al 2.34
Br 0.9728 0.2054 0.2324  1 Al 2.34
Br 0.2054 0.9728 0.1009  1 Al 2.34
Br 0.7946 0.7675 0.5657  1 Al 2.34
Br 0.2325 0.0272 0.8991  1 Al 2.34
Br 0.7160 0.1370 0.8166  1 Al 2.27
Br 0.4210 0.2840 0.4833  1 Al 2.27
Br 0.5790 0.8630 0.1834  1 Al 2.27
Br 0.8630 0.5790 0.1500  1 Al 2.27
Br 0.1370 0.7160 0.5167  1 Al 2.27
Br 0.2840 0.4210 0.8500  1 Al 2.27

SG: No. 152

---

Entry 5:
A plane-wave DFT calculation with PBE was carried out for a relaxed Na8Al6Si6BrClO24 crystal.

Cell: 8.9890 8.9890 8.9890 Å, 90.00 90.00 90.00°
Closest atoms and distances in Å follow each position.
Fractional coordinates of all 46 atoms:
Na 0.3189 0.6811 0.3189  3 O 2.37
Na 0.6811 0.3189 0.3189  3 O 2.37
Na 0.3189 0.3189 0.6811  3 O 2.37
Na 0.6811 0.6811 0.6811  3 O 2.37
Na 0.8173 0.8173 0.1827  3 O 2.36
Na 0.1827 0.8173 0.8173  3 O 2.36
Na 0.8173 0.1827 0.8173  3 O 2.36
Na 0.1827 0.1827 0.1827  3 O 2.36
Al 0.5000 0.0000 0.2500  4 O 1.76
Al 0.0000 0.7500 0.5000  4 O 1.76
Al 0.2500 0.5000 0.0000  4 O 1.76
Al 0.0000 0.2500 0.5000  4 O 1.76
Al 0.7500 0.5000 0.0000  4 O 1.76
Al 0.5000 0.0000 0.7500  4 O 1.76
Si 0.0000 0.5000 0.2500  4 O 1.64
Si 0.5000 0.7500 0.0000  4 O 1.64
Si 0.2500 0.0000 0.5000  4 O 1.64
Si 0.5000 0.2500 0.0000  4 O 1.64
Si 0.7500 0.0000 0.5000  4 O 1.64
Si 0.0000 0.5000 0.7500  4 O 1.64
Br 0.0000 0.0000 0.0000  4 Na 2.85
Cl 0.5000 0.5000 0.5000  4 Na 2.82
O 0.3500 0.9398 0.3598  1 Si 1.64, 1 Al 1.76
O 0.0602 0.6402 0.3500  1 Si 1.64, 1 Al 1.76
O 0.3598 0.6500 0.0602  1 Si 1.64, 1 Al 1.76
O 0.6500 0.0602 0.3598  1 Si 1.64, 1 Al 1.76
O 0.9398 0.3598 0.3500  1 Si 1.64, 1 Al 1.76
O 0.6402 0.3500 0.0602  1 Si 1.64, 1 Al 1.76
O 0.3500 0.0602 0.6402  1 Si 1.64, 1 Al 1.76
O 0.0602 0.3598 0.6500  1 Si 1.64, 1 Al 1.76
O 0.3598 0.3500 0.9398  1 Si 1.64, 1 Al 1.76
O 0.6500 0.9398 0.6402  1 Si 1.64, 1 Al 1.76
O 0.9398 0.6402 0.6500  1 Si 1.64, 1 Al 1.76
O 0.6402 0.6500 0.9398  1 Si 1.64, 1 Al 1.76
O 0.8500 0.8598 0.4399  1 Si 1.64, 1 Al 1.76
O 0.5601 0.8500 0.1402  1 Si 1.64, 1 Al 1.76
O 0.8598 0.5601 0.1500  1 Si 1.64, 1 Al 1.76
O 0.1500 0.8598 0.5601  1 Si 1.64, 1 Al 1.76
O 0.4399 0.8500 0.8598  1 Si 1.64, 1 Al 1.76
O 0.1402 0.5601 0.8500  1 Si 1.64, 1 Al 1.76
O 0.8500 0.1402 0.5601  1 Si 1.64, 1 Al 1.76
O 0.5601 0.1500 0.8598  1 Si 1.64, 1 Al 1.76
O 0.8598 0.4399 0.8500  1 Si 1.64, 1 Al 1.76
O 0.1500 0.1402 0.4399  1 Si 1.64, 1 Al 1.76
O 0.4399 0.1500 0.1402  1 Si 1.64, 1 Al 1.76
O 0.1402 0.4399 0.1500  1 Si 1.64, 1 Al 1.76

SG: No. 195

---

Entry 6:
A plane-wave DFT calculation with PBE was carried out for a relaxed AlSb2Te2BrCl4 crystal.

Cell: 8.4985 11.6035 13.6524 Å, 97.95 90.00 111.48°
Closest atoms and distances in Å follow each position.
Fractional coordinates of all 40 atoms:
Al 0.1070 0.4625 0.6717  4 Cl 2.14-2.19
Al 0.6445 0.5375 0.8283  4 Cl 2.14-2.19
Al 0.8930 0.5375 0.3283  4 Cl 2.14-2.19
Al 0.3555 0.4625 0.1717  4 Cl 2.14-2.19
Sb 0.1860 0.1283 0.6084  3 Te 2.92-2.96, 1 Cl 3.25
Sb 0.0577 0.8717 0.8916  3 Te 2.92-2.96, 1 Cl 3.25
Sb 0.8140 0.8717 0.3916  3 Te 2.92-2.96, 1 Cl 3.25
Sb 0.9423 0.1283 0.1084  3 Te 2.92-2.96, 1 Cl 3.25
Sb 0.3124 0.8811 0.3912  3 Te 2.94-2.97, 1 Cl 3.18, 2 Br 3.24-3.27
Sb 0.4313 0.1189 0.1088  3 Te 2.94-2.97, 1 Cl 3.18, 2 Br 3.24-3.27
Sb 0.6876 0.1189 0.6088  3 Te 2.94-2.97, 1 Cl 3.18, 2 Br 3.24-3.27
Sb 0.5687 0.8811 0.8912  3 Te 2.94-2.97, 1 Cl 3.18, 2 Br 3.24-3.27
Te 0.0558 0.8584 0.5404  3 Sb 2.92-2.95
Te 0.1974 0.1416 0.9596  3 Sb 2.92-2.95
Te 0.9442 0.1416 0.4596  3 Sb 2.92-2.95
Te 0.8026 0.8584 0.0404  3 Sb 2.92-2.95
Te 0.4520 0.1512 0.4642  3 Sb 2.94-2.97
Te 0.3008 0.8488 0.0358  3 Sb 2.94-2.97
Te 0.5480 0.8488 0.5358  3 Sb 2.94-2.97
Te 0.6992 0.1512 0.9642  3 Sb 2.94-2.97
Br 0.3752 0.0000 0.7500  4 Sb 3.27-3.33, 2 Cl 3.63
Br 0.6248 0.0000 0.2500  4 Sb 3.27-3.33, 2 Cl 3.63
Br 0.1248 0.0000 0.2500  4 Sb 3.24-3.29
Br 0.8752 0.0000 0.7500  4 Sb 3.24-3.29
Cl 0.8662 0.4068 0.5866  1 Al 2.19
Cl 0.4594 0.5932 0.9134  1 Al 2.19
Cl 0.1338 0.5932 0.4134  1 Al 2.19
Cl 0.5406 0.4068 0.0866  1 Al 2.19
Cl 0.2918 0.4195 0.5784  1 Al 2.18
Cl 0.8723 0.5805 0.9216  1 Al 2.18
Cl 0.7082 0.5805 0.4216  1 Al 2.18
Cl 0.1277 0.4195 0.0784  1 Al 2.18
Cl 0.0552 0.3441 0.7845  1 Al 2.14
Cl 0.7111 0.6559 0.7155  1 Al 2.14
Cl 0.9448 0.6559 0.2155  1 Al 2.14
Cl 0.2889 0.3441 0.2845  1 Al 2.14
Cl 0.2006 0.6606 0.7221  1 Al 2.15
Cl 0.5400 0.3394 0.7779  1 Al 2.15
Cl 0.7994 0.3394 0.2779  1 Al 2.15
Cl 0.4600 0.6606 0.2221  1 Al 2.15

SG: No. 15

---

Entry 7:
A plane-wave DFT calculation with PBE was carried out for a relaxed Cs2KAlBr6 crystal.

Cell: 8.0953 8.0953 8.0953 Å, 60.00 60.00 60.00°
Closest atoms and distances in Å follow each position.
Fractional coordinates of all 10 atoms:
Cs 0.7500 0.7500 0.7500  12 Br 4.06
Cs 0.2500 0.2500 0.2500  12 Br 4.06
K 0.5000 0.5000 0.5000  6 Br 3.19
Al 0.0000 0.0000 0.0000  6 Br 2.53
Br 0.7786 0.2214 0.2214  1 Al 2.53
Br 0.2214 0.2214 0.7786  1 Al 2.53
Br 0.2214 0.7786 0.7786  1 Al 2.53
Br 0.2214 0.7786 0.2214  1 Al 2.53
Br 0.7786 0.2214 0.7786  1 Al 2.53
Br 0.7786 0.7786 0.2214  1 Al 2.53

SG: No. 225

---

Entry 8:
A plane-wave DFT calculation with PBE was carried out for a relaxed Cs2AlTlBr6 crystal.

Cell: 8.1345 8.1345 8.1345 Å, 60.00 60.00 60.00°
Closest atoms and distances in Å follow each position.
Fractional coordinates of all 10 atoms:
Cs 0.7500 0.7500 0.7500  12 Br 4.08
Cs 0.2500 0.2500 0.2500  12 Br 4.08
Al 0.0000 0.0000 0.0000  6 Br 2.54
Tl 0.5000 0.5000 0.5000  6 Br 3.21
Br 0.7794 0.2206 0.2206  1 Al 2.54
Br 0.2206 0.2206 0.7794  1 Al 2.54
Br 0.2206 0.7794 0.7794  1 Al 2.54
Br 0.2206 0.7794 0.2206  1 Al 2.54
Br 0.7794 0.2206 0.7794  1 Al 2.54
Br 0.7794 0.7794 0.2206  1 Al 2.54

SG: No. 225

---

ΔE_f list, top to bottom, in eV per atom: 0.487 -0.525 -1.453 -1.722 -3.048 -1.099 -1.849 -1.674